Record 1
Entry from the Materials Project: a relaxed La2CO5 crystal (PBE).

Unit cell a=7.103 b=7.103 c=32.046 alpha=90.00 beta=90.00 gamma=119.97
Positions (direct):
1 La 0.986 0.661 0.078
2 La 0.988 0.325 0.328
3 La 0.995 0.330 0.828
4 La 0.659 0.992 0.076
5 La 0.325 0.988 0.828
6 La 0.668 0.659 0.827
7 La 0.325 0.988 0.672
8 La 0.330 0.332 0.422
9 La 0.330 0.332 0.078
10 La 0.659 0.992 0.424
11 La 0.988 0.325 0.172
12 La 0.986 0.661 0.422
13 La 0.330 0.995 0.328
14 La 0.332 0.330 0.922
15 La 0.659 0.668 0.327
16 La 0.659 0.668 0.173
17 La 0.992 0.659 0.924
18 La 0.661 0.986 0.922
19 La 0.995 0.330 0.672
20 La 0.668 0.659 0.673
21 La 0.992 0.659 0.576
22 La 0.661 0.986 0.578
23 La 0.330 0.995 0.172
24 La 0.332 0.330 0.578
25 O 0.331 0.996 0.596
26 O 0.660 0.998 0.349
27 O 0.327 0.324 0.846
28 O 0.223 0.988 0.250
29 O 0.958 0.997 0.286
30 O 0.653 0.092 0.501
31 O 0.324 0.327 0.346
32 O 0.661 0.373 0.966
33 O 0.323 0.993 0.404
34 O 0.430 0.092 0.750
35 O 0.960 0.957 0.964
36 O 0.373 0.661 0.034
37 O 0.659 0.356 0.037
38 O 0.564 0.662 0.750
39 O 0.996 0.331 0.096
40 O 0.228 0.228 0.000
41 O 0.653 0.092 0.999
42 O 0.662 0.994 0.655
43 O 0.373 0.661 0.466
44 O 0.228 0.228 0.500
45 O 0.698 0.363 0.786
46 O 0.661 0.373 0.534
47 O 0.092 0.430 0.250
48 O 0.698 0.363 0.714
49 O 0.996 0.331 0.404
50 O 0.356 0.659 0.963
51 O 0.327 0.324 0.654
52 O 0.988 0.223 0.750
53 O 0.662 0.994 0.845
54 O 0.957 0.960 0.036
55 O 0.998 0.660 0.849
56 O 0.092 0.653 0.499
57 O 0.993 0.323 0.596
58 O 0.659 0.356 0.463
59 O 0.331 0.996 0.904
60 O 0.997 0.958 0.714
61 O 0.659 0.660 0.401
62 O 0.363 0.698 0.214
63 O 0.998 0.660 0.651
64 O 0.997 0.958 0.786
65 O 0.994 0.662 0.345
66 O 0.293 0.658 0.786
67 O 0.660 0.659 0.599
68 O 0.957 0.960 0.464
69 O 0.658 0.293 0.214
70 O 0.658 0.293 0.286
71 O 0.660 0.659 0.901
72 O 0.363 0.698 0.286
73 O 0.960 0.957 0.536
74 O 0.659 0.660 0.099
75 O 0.324 0.327 0.154
76 O 0.356 0.659 0.537
77 O 0.293 0.658 0.714
78 O 0.660 0.998 0.151
79 O 0.994 0.662 0.155
80 O 0.092 0.653 0.001
81 O 0.993 0.323 0.904
82 O 0.958 0.997 0.214
83 O 0.662 0.564 0.250
84 O 0.323 0.993 0.096
85 C 0.381 0.659 0.750
86 C 0.657 0.276 0.000
87 C 0.276 0.657 0.000
88 C 0.276 0.657 0.500
89 C 0.611 0.274 0.750
90 C 0.994 0.045 0.750
91 C 0.657 0.276 0.500
92 C 0.045 0.994 0.250
93 C 0.047 0.047 0.500
94 C 0.659 0.381 0.250
95 C 0.274 0.611 0.250
96 C 0.047 0.047 0.000

Computed properties:
- polymorph energy (0 for the lowest one) (meV/atom) = 2
- crystal system = orthorhombic
- E (eV per cell) = -799.38

***

Record 2
Entry from the Materials Project: a relaxed LaCO crystal (PBE).

Unit cell a=4.073 b=4.073 c=7.367 alpha=85.39 beta=85.39 gamma=58.99
Positions (direct):
1 C 0.039 0.039 0.073
2 C 0.961 0.961 0.927
3 La 0.316 0.316 0.708
4 La 0.684 0.684 0.292
5 O 0.653 0.653 0.621
6 O 0.347 0.347 0.379

Computed properties:
- crystal system = monoclinic
- E (eV per cell) = -49.77

***

Record 3
Entry from the Materials Project: a relaxed LaCO4 crystal (PBE).

Unit cell a=5.082 b=7.584 c=8.784 alpha=90.00 beta=90.00 gamma=90.00
Positions (direct):
1 O 0.237 0.088 0.119
2 O 0.263 0.912 0.619
3 O 0.507 0.700 0.117
4 O 0.737 0.412 0.881
5 O 0.986 0.950 0.292
6 O 0.797 0.102 0.100
7 O 0.486 0.550 0.708
8 O 0.203 0.602 0.400
9 O 0.763 0.588 0.381
10 O 0.514 0.050 0.792
11 O 0.993 0.300 0.617
12 O 0.007 0.800 0.883
13 O 0.297 0.398 0.900
14 O 0.493 0.200 0.383
15 O 0.014 0.450 0.208
16 O 0.703 0.898 0.600
17 C 0.496 0.952 0.672
18 C 0.004 0.048 0.172
19 C 0.504 0.452 0.828
20 C 0.996 0.548 0.328
21 La 0.487 0.887 0.333
22 La 0.513 0.387 0.167
23 La 0.987 0.613 0.667
24 La 0.013 0.113 0.833

Computed properties:
- polymorph energy (0 for the lowest one) (meV/atom) = 56
- crystal system = orthorhombic
- E (eV per cell) = -184.77

***

Record 4
Entry from the Materials Project: a relaxed LaCO4 crystal (PBE).

Unit cell a=12.791 b=12.791 c=10.079 alpha=90.00 beta=90.00 gamma=120.00
Positions (direct):
1 La 0.889 0.772 0.244
2 La 0.562 0.776 0.244
3 La 0.555 0.104 0.740
4 La 0.549 0.445 0.740
5 La 0.883 0.111 0.244
6 La 0.562 0.776 0.756
7 La 0.555 0.104 0.260
8 La 0.224 0.787 0.244
9 La 0.549 0.445 0.260
10 La 0.889 0.772 0.756
11 La 0.213 0.438 0.244
12 La 0.896 0.451 0.740
13 La 0.213 0.438 0.756
14 La 0.228 0.117 0.244
15 La 0.224 0.787 0.756
16 La 0.883 0.111 0.756
17 La 0.228 0.117 0.756
18 La 0.896 0.451 0.260
19 O 0.435 0.188 0.388
20 O 0.415 0.260 0.112
21 O 0.504 0.690 0.000
22 O 0.412 0.515 0.112
23 O 0.765 0.910 0.112
24 O 0.506 0.739 0.500
25 O 0.009 0.674 0.695
26 O 0.667 0.333 0.762
27 O 0.333 0.667 0.740
28 O 0.341 0.010 0.194
29 O 0.502 0.586 0.388
30 O 0.000 0.000 0.745
31 O 0.341 0.010 0.806
32 O 0.310 0.815 0.000
33 O 0.587 0.151 0.000
34 O 0.740 0.155 0.888
35 O 0.167 0.030 0.000
36 O 0.414 0.915 0.388
37 O 0.665 0.991 0.695
38 O 0.233 0.494 0.500
39 O 0.740 0.155 0.112
40 O 0.326 0.335 0.695
41 O 0.412 0.515 0.888
42 O 0.090 0.855 0.888
43 O 0.185 0.496 0.000
44 O 0.845 0.585 0.112
45 O 0.072 0.245 0.387
46 O 0.415 0.260 0.888
47 O 0.173 0.928 0.387
48 O 0.755 0.827 0.387
49 O 0.755 0.827 0.613
50 O 0.145 0.235 0.112
51 O 0.502 0.586 0.612
52 O 0.670 0.659 0.806
53 O 0.919 0.098 0.500
54 O 0.072 0.245 0.613
55 O 0.752 0.565 0.612
56 O 0.752 0.565 0.388
57 O 0.812 0.248 0.388
58 O 0.085 0.498 0.388
59 O 0.667 0.333 0.238
60 O 0.173 0.928 0.613
61 O 0.326 0.335 0.305
62 O 0.261 0.767 0.500
63 O 0.435 0.188 0.612
64 O 0.103 0.588 0.112
65 O 0.179 0.081 0.500
66 O 0.665 0.991 0.305
67 O 0.103 0.588 0.888
68 O 0.485 0.897 0.112
69 O 0.902 0.821 0.500
70 O 0.414 0.915 0.612
71 O 0.670 0.659 0.194
72 O 0.145 0.235 0.888
73 O 0.990 0.330 0.806
74 O 0.090 0.855 0.112
75 O 0.485 0.897 0.888
76 O 0.765 0.910 0.888
77 O 0.638 0.166 0.500
78 O 0.527 0.362 0.500
79 O 0.845 0.585 0.888
80 O 0.863 0.833 0.000
81 O 0.834 0.473 0.500
82 O 0.990 0.330 0.194
83 O 0.000 0.000 0.255
84 O 0.085 0.498 0.612
85 O 0.333 0.667 0.260
86 O 0.009 0.674 0.305
87 O 0.812 0.248 0.612
88 O 0.849 0.436 0.000
89 O 0.564 0.413 0.000
90 O 0.970 0.137 0.000
91 C 0.174 0.977 0.500
92 C 0.464 0.310 0.000
93 C 0.427 0.870 0.000
94 C 0.023 0.197 0.500
95 C 0.134 0.498 0.500
96 C 0.690 0.154 0.000
97 C 0.087 0.202 0.000
98 C 0.130 0.558 0.000
99 C 0.803 0.826 0.500
100 C 0.846 0.536 0.000
101 C 0.115 0.913 0.000
102 C 0.465 0.244 0.500
103 C 0.442 0.573 0.000
104 C 0.364 0.866 0.500
105 C 0.502 0.636 0.500
106 C 0.779 0.535 0.500
107 C 0.798 0.885 0.000
108 C 0.756 0.221 0.500

Computed properties:
- polymorph energy (0 for the lowest one) (meV/atom) = 0
- crystal system = hexagonal
- E (eV per cell) = -837.49

***

Record 5
Entry from the Materials Project: a relaxed La2CO5 crystal (PBE).

Unit cell a=7.097 b=7.097 c=16.534 alpha=77.68 beta=77.68 gamma=60.13
Positions (direct):
1 La 0.305 0.469 0.096
2 La 0.531 0.695 0.404
3 La 0.469 0.305 0.596
4 La 0.366 0.201 0.906
5 La 0.799 0.634 0.594
6 La 0.141 0.963 0.594
7 La 0.859 0.037 0.406
8 La 0.963 0.141 0.094
9 La 0.634 0.799 0.094
10 La 0.037 0.859 0.906
11 La 0.695 0.531 0.904
12 La 0.201 0.366 0.406
13 O 0.184 0.021 0.441
14 O 0.698 0.255 0.821
15 O 0.687 0.854 0.941
16 O 0.146 0.313 0.559
17 O 0.442 0.905 0.679
18 O 0.991 0.009 0.750
19 O 0.650 0.484 0.052
20 O 0.313 0.146 0.059
21 O 0.350 0.516 0.948
22 O 0.591 0.846 0.249
23 O 0.745 0.302 0.679
24 O 0.144 0.606 0.679
25 O 0.484 0.650 0.552
26 O 0.846 0.591 0.749
27 O 0.516 0.350 0.448
28 O 0.816 0.979 0.559
29 O 0.255 0.698 0.321
30 O 0.394 0.856 0.821
31 O 0.854 0.687 0.441
32 O 0.409 0.154 0.751
33 O 0.095 0.558 0.821
34 O 0.558 0.095 0.321
35 O 0.979 0.816 0.059
36 O 0.905 0.442 0.179
37 O 0.302 0.745 0.179
38 O 0.154 0.409 0.251
39 O 0.021 0.184 0.941
40 O 0.606 0.144 0.179
41 O 0.856 0.394 0.321
42 O 0.009 0.991 0.250
43 C 0.030 0.585 0.750
44 C 0.415 0.970 0.750
45 C 0.970 0.415 0.250
46 C 0.585 0.030 0.250
47 C 0.809 0.191 0.750
48 C 0.191 0.809 0.250

Computed properties:
- polymorph energy (0 for the lowest one) (meV/atom) = 0
- crystal system = monoclinic
- E (eV per cell) = -399.77

***

Record 6
Entry from the Materials Project: a relaxed LaCO4 crystal (PBE).

Unit cell a=5.082 b=7.490 c=8.357 alpha=90.00 beta=90.00 gamma=90.00
Positions (direct):
1 La 0.750 0.346 0.331
2 La 0.250 0.154 0.831
3 La 0.250 0.654 0.669
4 La 0.750 0.846 0.169
5 O 0.750 0.030 0.408
6 O 0.029 0.145 0.123
7 O 0.971 0.355 0.623
8 O 0.471 0.645 0.377
9 O 0.250 0.970 0.592
10 O 0.529 0.355 0.623
11 O 0.971 0.855 0.877
12 O 0.750 0.216 0.819
13 O 0.750 0.530 0.092
14 O 0.029 0.645 0.377
15 O 0.471 0.145 0.123
16 O 0.529 0.855 0.877
17 O 0.250 0.284 0.319
18 O 0.250 0.470 0.908
19 O 0.250 0.784 0.181
20 O 0.750 0.716 0.681
21 C 0.250 0.189 0.191
22 C 0.250 0.689 0.309
23 C 0.750 0.811 0.809
24 C 0.750 0.311 0.691

Computed properties:
- polymorph energy (0 for the lowest one) (meV/atom) = 56
- crystal system = orthorhombic
- E (eV per cell) = -184.76

***

no.,energy of formation from the pure elements (eV/f.u.)
1,-26.21
2,-6.46
3,-14.98
4,-15.32
5,-26.22
6,-14.98